1.
{"formula": "Mg6SbW", "functional": "GGA-PBE", "state": "relaxed", "total_energy_ev_per_cell": -50.31, "ef_mev_per_atom": 192.0, "lattice": [[5.0147, 0.0000, 0.0000], [0.0000, 6.1916, 0.0000], [0.0000, 0.0000, 10.5303]], "species": ["Mg", "Mg", "Mg", "Mg", "Mg", "Mg", "Mg", "Mg", "Mg", "Mg", "Mg", "Mg", "W", "W", "Sb", "Sb"], "frac_coords": [[0.0000, 0.7558, 0.0809], [0.5000, 0.2389, 0.9147], [0.0000, 0.2442, 0.0809], [0.5000, 0.7389, 0.4147], [0.5000, 0.5000, 0.6664], [0.5000, 0.0000, 0.1664], [0.0000, 0.0000, 0.3339], [0.0000, 0.2558, 0.5809], [0.5000, 0.7611, 0.9147], [0.0000, 0.7442, 0.5809], [0.0000, 0.5000, 0.8339], [0.5000, 0.2611, 0.4147], [0.0000, 0.5000, 0.3315], [0.0000, 0.0000, 0.8315], [0.5000, 0.0000, 0.6770], [0.5000, 0.5000, 0.1770]]}

2.
{"formula": "NaSb3P2O10", "functional": "GGA-PBE", "state": "relaxed", "crystal_system": "orthorhombic", "total_energy_ev_per_cell": -830.86, "ef_mev_per_atom": -2294.5, "lattice": [[14.2483, 0.0000, 0.0000], [0.0000, 6.7778, 0.0000], [0.0000, 0.0000, 21.3776]], "species": ["Na", "Na", "Na", "Na", "Na", "Na", "Na", "Na", "Sb", "Sb", "Sb", "Sb", "Sb", "Sb", "Sb", "Sb", "Sb", "Sb", "Sb", "Sb", "Sb", "Sb", "Sb", "Sb", "Sb", "Sb", "Sb", "Sb", "Sb", "Sb", "Sb", "Sb", "P", "P", "P", "P", "P", "P", "P", "P", "P", "P", "P", "P", "P", "P", "P", "P", "O", "O", "O", "O", "O", "O", "O", "O", "O", "O", "O", "O", "O", "O", "O", "O", "O", "O", "O", "O", "O", "O", "O", "O", "O", "O", "O", "O", "O", "O", "O", "O", "O", "O", "O", "O", "O", "O", "O", "O", "O", "O", "O", "O", "O", "O", "O", "O", "O", "O", "O", "O", "O", "O", "O", "O", "O", "O", "O", "O", "O", "O", "O", "O", "O", "O", "O", "O", "O", "O", "O", "O", "O", "O", "O", "O", "O", "O", "O", "O"], "frac_coords": [[0.1134, 0.1840, 0.0000], [0.1302, 0.3017, 0.8040], [0.3698, 0.3017, 0.3040], [0.3866, 0.1840, 0.5000], [0.6134, 0.8161, 0.0000], [0.6302, 0.6983, 0.8040], [0.8698, 0.6983, 0.3040], [0.8866, 0.8161, 0.5000], [0.0101, 0.3589, 0.5230], [0.0104, 0.7874, 0.8639], [0.1080, 0.0106, 0.6565], [0.1405, 0.4650, 0.1464], [0.2321, 0.7052, 0.9411], [0.2439, 0.8403, 0.2822], [0.2561, 0.8403, 0.7822], [0.2679, 0.7052, 0.4411], [0.3595, 0.4650, 0.6464], [0.3920, 0.0106, 0.1565], [0.4899, 0.3589, 0.0230], [0.4896, 0.7874, 0.3639], [0.5104, 0.2126, 0.8639], [0.5101, 0.6411, 0.5230], [0.6080, 0.9894, 0.6565], [0.6405, 0.5350, 0.1464], [0.7321, 0.2948, 0.9411], [0.7439, 0.1597, 0.2822], [0.7561, 0.1597, 0.7822], [0.7679, 0.2948, 0.4411], [0.8595, 0.5350, 0.6464], [0.8920, 0.9894, 0.1565], [0.9896, 0.2126, 0.3639], [0.9899, 0.6411, 0.0230], [0.0365, 0.6951, 0.4005], [0.1052, 0.9654, 0.1293], [0.1438, 0.5159, 0.6741], [0.2195, 0.1895, 0.4040], [0.2805, 0.1895, 0.9040], [0.3562, 0.5159, 0.1741], [0.3948, 0.9654, 0.6293], [0.4635, 0.6951, 0.9005], [0.5365, 0.3049, 0.4005], [0.6052, 0.0346, 0.1293], [0.6438, 0.4841, 0.6741], [0.7195, 0.8105, 0.4040], [0.7805, 0.8105, 0.9040], [0.8562, 0.4841, 0.1741], [0.8948, 0.0346, 0.6293], [0.9635, 0.3049, 0.9005], [0.0021, 0.4660, 0.8553], [0.0228, 0.1173, 0.8898], [0.0276, 0.6340, 0.4704], [0.0300, 0.0007, 0.1824], [0.0521, 0.9228, 0.0672], [0.0682, 0.7393, 0.9500], [0.0790, 0.3339, 0.6812], [0.0841, 0.6912, 0.6506], [0.1006, 0.4951, 0.0580], [0.1144, 0.2338, 0.4208], [0.1424, 0.7311, 0.3850], [0.1486, 0.9916, 0.7451], [0.1646, 0.1549, 0.1206], [0.1711, 0.7957, 0.1487], [0.1742, 0.7529, 0.8553], [0.1929, 0.5589, 0.7376], [0.2193, 0.3754, 0.9140], [0.2211, 0.4673, 0.6233], [0.2261, 0.1248, 0.3344], [0.2427, 0.0277, 0.9496], [0.2573, 0.0277, 0.4496], [0.2739, 0.1248, 0.8344], [0.2789, 0.4673, 0.1233], [0.2807, 0.3754, 0.4140], [0.3071, 0.5589, 0.2376], [0.3258, 0.7529, 0.3553], [0.3289, 0.7957, 0.6487], [0.3354, 0.1549, 0.6206], [0.3514, 0.9916, 0.2451], [0.3576, 0.7311, 0.8850], [0.3856, 0.2338, 0.9208], [0.3994, 0.4951, 0.5580], [0.4159, 0.6912, 0.1506], [0.4210, 0.3339, 0.1812], [0.4318, 0.7393, 0.4500], [0.4479, 0.9228, 0.5672], [0.4700, 0.0007, 0.6824], [0.4724, 0.6340, 0.9704], [0.4772, 0.1173, 0.3898], [0.4979, 0.4660, 0.3553], [0.5021, 0.5340, 0.8553], [0.5228, 0.8827, 0.8898], [0.5276, 0.3660, 0.4704], [0.5300, 0.9993, 0.1824], [0.5521, 0.0772, 0.0672], [0.5682, 0.2607, 0.9500], [0.5790, 0.6661, 0.6812], [0.5841, 0.3088, 0.6506], [0.6006, 0.5049, 0.0580], [0.6144, 0.7662, 0.4208], [0.6424, 0.2689, 0.3850], [0.6486, 0.0084, 0.7451], [0.6646, 0.8451, 0.1206], [0.6711, 0.2043, 0.1487], [0.6742, 0.2471, 0.8553], [0.6929, 0.4411, 0.7376], [0.7193, 0.6246, 0.9140], [0.7211, 0.5327, 0.6233], [0.7261, 0.8752, 0.3344], [0.7427, 0.9723, 0.9496], [0.7573, 0.9723, 0.4496], [0.7739, 0.8752, 0.8344], [0.7789, 0.5327, 0.1233], [0.7807, 0.6246, 0.4140], [0.8071, 0.4411, 0.2376], [0.8258, 0.2471, 0.3553], [0.8289, 0.2043, 0.6487], [0.8354, 0.8451, 0.6206], [0.8514, 0.0084, 0.2451], [0.8576, 0.2689, 0.8850], [0.8856, 0.7662, 0.9208], [0.8994, 0.5049, 0.5580], [0.9159, 0.3088, 0.1506], [0.9210, 0.6661, 0.1812], [0.9318, 0.2607, 0.4500], [0.9479, 0.0772, 0.5672], [0.9700, 0.9993, 0.6824], [0.9724, 0.3660, 0.9704], [0.9772, 0.8827, 0.3898], [0.9979, 0.5340, 0.3553]]}

3.
{"formula": "Mg2In3MoS8", "functional": "GGA-PBE", "state": "relaxed", "crystal_system": "trigonal", "total_energy_ev_per_cell": -65.97, "ef_mev_per_atom": -1042.7, "lattice": [[3.8123, 2.2010, 6.2452], [-3.8123, 2.2010, 6.2452], [0.0000, -4.4021, 6.2452]], "species": ["Mg", "Mg", "In", "In", "In", "Mo", "S", "S", "S", "S", "S", "S", "S", "S"], "frac_coords": [[0.1252, 0.1252, 0.1252], [0.8748, 0.8748, 0.8748], [0.0000, 0.5000, 0.5000], [0.5000, 0.0000, 0.5000], [0.5000, 0.5000, 0.0000], [0.5000, 0.5000, 0.5000], [0.2566, 0.2566, 0.2566], [0.2663, 0.2663, 0.7236], [0.2663, 0.7236, 0.2663], [0.2764, 0.7337, 0.7337], [0.7236, 0.2663, 0.2663], [0.7337, 0.2764, 0.7337], [0.7337, 0.7337, 0.2764], [0.7434, 0.7434, 0.7434]]}

4.
{"formula": "Ge3Sb2Te6", "functional": "GGA-PBE", "state": "relaxed", "crystal_system": "trigonal", "total_energy_ev_per_cell": -42.07, "ef_mev_per_atom": -328.3, "lattice": [[2.1298, 1.2296, 21.6436], [-2.1298, 1.2296, 21.6436], [0.0000, -2.4592, 21.6436]], "species": ["Ge", "Ge", "Ge", "Sb", "Sb", "Te", "Te", "Te", "Te", "Te", "Te"], "frac_coords": [[0.0000, 0.0000, 0.0000], [0.0915, 0.0915, 0.0915], [0.8161, 0.8161, 0.8161], [0.2729, 0.2729, 0.2729], [0.5435, 0.5435, 0.5435], [0.1831, 0.1831, 0.1831], [0.3551, 0.3551, 0.3551], [0.4609, 0.4609, 0.4609], [0.6330, 0.6330, 0.6330], [0.7364, 0.7364, 0.7364], [0.9079, 0.9079, 0.9079]]}